# 1
# CsBeF3

Crystalline CsBeF3 at its relaxed geometry (PBE-GGA, the Materials Project).

Lattice parameters (Å, degrees): 4.0353 4.0353 4.0353 90.00 90.00 90.00
Fractional positions:
Cs (0.0000, 0.0000, 0.0000)
Be (0.5000, 0.5000, 0.5000)
F (0.0000, 0.5000, 0.5000)
F (0.5000, 0.0000, 0.5000)
F (0.5000, 0.5000, 0.0000)

Summary:
Formation energy: -1324 kJ/mol of formula units
Space-group type: No. 221
Total magnetic moment: 0.00 μB/f.u.
Offset from the most stable computed form: 662.6 meV per atom
Crystal system: cubic
E: -22.7 eV/cell



# 2
# Na3B2PO5F4

Crystalline Na3B2PO5F4 at its relaxed geometry (PBE-GGA, the Materials Project).

Lattice parameters (Å, degrees): 9.1700 7.0741 7.0741 57.83 90.00 90.00
Fractional positions:
Na (0.0000, 0.0000, 0.0000)
Na (0.0000, 0.2970, 0.2970)
Na (0.0000, 0.6826, 0.6826)
Na (0.5000, 0.0000, 0.0000)
Na (0.5000, 0.2970, 0.2970)
Na (0.5000, 0.6826, 0.6826)
B (0.2500, 0.1291, 0.6410)
B (0.2500, 0.5568, 0.4150)
B (0.7500, 0.4150, 0.5568)
B (0.7500, 0.6410, 0.1291)
P (0.2500, 0.3394, 0.8761)
P (0.7500, 0.8761, 0.3394)
O (0.1079, 0.3374, 0.9856)
O (0.2500, 0.1278, 0.8494)
O (0.2500, 0.3420, 0.4413)
O (0.2500, 0.5538, 0.6266)
O (0.3921, 0.3374, 0.9856)
O (0.6079, 0.9856, 0.3374)
O (0.7500, 0.4413, 0.3420)
O (0.7500, 0.6266, 0.5538)
O (0.7500, 0.8494, 0.1278)
O (0.8921, 0.9856, 0.3374)
F (0.1228, 0.0002, 0.6494)
F (0.1227, 0.6818, 0.2904)
F (0.3772, 0.0002, 0.6494)
F (0.3773, 0.6818, 0.2904)
F (0.6227, 0.2904, 0.6818)
F (0.6228, 0.6494, 0.0002)
F (0.8773, 0.2904, 0.6818)
F (0.8772, 0.6494, 0.0002)

Summary:
Formation energy: -4228 kJ/mol of formula units
Space-group type: No. 40
Total magnetic moment: 0.00 μB/f.u.
Crystal system: orthorhombic
E: -187.3 eV/cell